Material: Si4P4Ru
Method: DFT, PBE
State: optimized geometry

The total energy comes out at -6.2060 eV per atom. The value obtained for the largest piezoelectric modulus is 0.18 C/m2. The formation enthalpy at 0 K comes out at -0.36 eV per atom.

It has space group P1 (No. 1), with a = 4.970 Å, b = 5.666 Å, c = 6.208 Å, α = 85.59°, β = 68.27° and γ = 70.75°. The inequivalent atoms are Si at (0.000, 0.000, 0.000), Si at (0.121, 0.251, 0.449), Si at (0.433, 0.432, 0.794), Si at (0.607, 0.629, 0.257), P at (0.104, 0.883, 0.326), P at (0.384, 0.067, 0.690), P at (0.529, 0.298, 0.131), P at (0.922, 0.671, 0.886) and Ru at (0.762, 0.656, 0.567).

---

Material: SrP2Ru2
Method: DFT, PBE
State: optimized geometry

The total energy comes out at -7.1406 eV per atom. The formation enthalpy at 0 K comes out at -0.93 eV per atom.

It has space group I4/mmm (No. 139), with a = 4.067 Å, b = 4.067 Å, c = 11.278 Å, α = 90.00°, β = 90.00° and γ = 90.00°. The inequivalent atoms are Sr at (0.000, 0.000, 0.000), P at (0.000, 0.000, 0.351) and Ru at (0.000, 0.500, 0.250).